The following is a PBE with a Hubbard U calculation of a geometry-optimized Li9Mn2Co5O16 structure, from the Materials Project database.

a = 5.884 Å, b = 6.468 Å, c = 8.090 Å
α = 90.96°, β = 89.77°, γ = 114.74°
Positions (direct):
Li (0.236, 0.496, 0.010)
Li (0.869, 0.252, 0.749)
Li (0.621, 0.748, 0.254)
Li (0.000, 0.007, 0.489)
Li (0.380, 0.250, 0.744)
Li (0.758, 0.491, 0.011)
Li (0.127, 0.746, 0.252)
Li (0.506, 0.008, 0.491)
Li (0.875, 0.252, 0.252)
Mn (0.003, 0.006, 0.005)
Mn (0.629, 0.751, 0.749)
Co (0.237, 0.491, 0.494)
Co (0.510, 0.008, 0.005)
Co (0.126, 0.749, 0.747)
Co (0.746, 0.493, 0.497)
Co (0.372, 0.250, 0.250)
O (0.886, 0.237, 0.996)
O (0.509, 0.989, 0.766)
O (0.259, 0.493, 0.263)
O (0.632, 0.740, 0.514)
O (0.982, 0.974, 0.757)
O (0.353, 0.227, 0.005)
O (0.715, 0.478, 0.264)
O (0.139, 0.741, 0.515)
O (0.651, 0.774, 0.993)
O (0.281, 0.531, 0.744)
O (0.021, 0.011, 0.235)
O (0.356, 0.256, 0.487)
O (0.743, 0.512, 0.742)
O (0.118, 0.760, 0.983)
O (0.491, 0.011, 0.230)
O (0.870, 0.269, 0.505)

Summary:
The distance to the lowest polymorph of the same formula comes out at 32 meV/atom. Its space group is No. 1. The formation energy comes out at -1.832 eV/atom.